VASP calculation (PBE+U) on an optimized crystal structure of Sr2Ca2Co3CuO10.

Output
* uncorrected energy: -5.990 eV per atom
* energy relative to the elements: -2.07 eV/atom

extended XYZ file:
```
144
Lattice="-0.906 1.994 10.534 -10.227 -4.134 -0.034 11.279 -13.128 -2.106" Properties=species:S:1:pos:R:3 pbc="T T T"
Sr 1.007 -9.830 1.884
Sr 5.546 -6.685 7.227
Sr 0.526 -8.797 7.215
Sr -0.307 -6.451 1.178
Sr 5.246 -13.084 0.186
Sr -0.742 -5.448 6.427
Sr -5.908 -7.490 6.497
Sr -0.143 -14.195 5.468
Sr 3.781 -9.218 -0.637
Sr -1.342 -11.346 -0.725
Sr 3.292 -8.215 4.613
Sr -1.770 -10.218 4.551
Sr 1.912 -4.918 3.839
Sr 7.562 -11.561 2.785
Sr 1.491 -3.968 9.132
Sr 7.176 -10.540 8.120
Ca 0.293 -1.100 2.995
Ca 5.918 -7.646 1.963
Ca -4.848 -3.162 2.920
Ca -0.171 -0.108 8.192
Ca -5.290 -2.204 8.226
Ca -5.329 -8.513 1.202
Ca 0.359 -15.250 0.174
Ca 4.951 -12.161 5.472
Ca -1.771 -2.510 0.365
Ca -6.929 -4.592 0.356
Ca -2.301 -1.528 5.513
Ca -7.415 -3.616 5.504
Ca -3.258 -7.101 3.731
Ca 2.476 -13.778 2.779
Ca -3.714 -6.128 9.069
Ca 2.013 -12.789 8.083
Co 0.019 -0.017 0.096
Co 5.662 -6.638 -0.959
Co -5.097 -2.075 0.043
Co 0.542 -8.634 -1.064
Co -10.661 -3.152 5.255
Co -5.129 -9.551 4.151
Co -5.559 -1.105 5.286
Co 0.104 -7.660 4.191
Co -2.799 -0.546 2.671
Co 2.870 -7.097 1.606
Co -7.878 -2.661 2.645
Co -2.215 -9.237 1.572
Co -3.182 0.271 7.979
Co 2.416 -6.125 6.880
Co -8.325 -1.625 7.946
Co -2.700 -8.153 6.820
Co 1.791 -3.355 0.585
Co -3.438 -5.470 0.566
Co 1.272 -2.322 5.917
Co 6.982 -9.014 4.827
Co -3.869 -4.460 5.834
Co -1.758 -4.181 3.207
Co -2.183 -3.223 8.460
Co -7.233 -5.159 8.548
Cu 7.438 -10.051 -0.280
Cu 2.162 -12.231 -0.380
Cu 1.821 -11.191 4.914
Cu 4.030 -10.836 2.378
Cu -6.762 -6.225 3.103
Cu -0.917 -12.860 2.203
Cu 3.598 -9.919 7.516
Cu -1.461 -11.858 7.500
O 4.316 -6.643 0.284
O 9.815 -13.303 -0.691
O -0.876 -8.758 0.098
O 4.624 -15.359 -0.793
O 3.817 -5.679 5.503
O 9.269 -12.358 4.566
O -1.326 -7.737 5.355
O 4.164 -14.387 4.529
O -3.884 -1.547 1.320
O 1.802 -7.912 0.293
O -9.025 -3.535 1.307
O -3.344 -9.880 0.316
O -4.412 -0.565 6.622
O 1.298 -6.875 5.552
O -9.481 -2.604 6.578
O -3.814 -8.827 5.541
O 3.944 -6.223 2.851
O 9.678 -12.749 1.900
O -1.216 -8.327 2.783
O 4.543 -14.878 1.919
O 3.509 -5.266 8.176
O 9.301 -11.830 7.208
O -1.663 -7.326 8.040
O 4.160 -13.782 7.136
O -4.090 -1.024 3.961
O 1.394 -7.433 2.918
O -9.178 -3.072 3.935
O -3.695 -9.616 2.968
O -4.479 0.006 9.211
O 0.947 -6.442 8.194
O -9.567 -2.046 9.228
O -4.168 -8.493 8.258
O 0.510 -2.063 0.752
O 6.260 -8.526 -0.318
O -4.676 -4.139 0.551
O 1.115 -10.683 -0.646
O -0.049 -1.067 5.910
O 5.728 -7.741 4.932
O -5.156 -3.177 5.856
O 0.751 -9.636 4.670
O -0.569 -5.422 3.766
O 5.170 -12.214 2.904
O -5.626 -7.660 3.693
O 0.132 -14.242 2.856
O -1.004 -4.481 9.033
O 4.781 -11.208 8.098
O -6.085 -6.427 9.148
O -0.370 -13.272 8.094
O -1.679 -2.366 3.300
O 3.903 -8.962 2.156
O -6.879 -4.323 3.057
O -1.231 -11.036 1.960
O -2.106 -1.387 8.599
O 3.302 -8.076 7.398
O -7.222 -3.348 8.592
O -1.767 -10.018 7.210
O 1.811 -5.067 1.165
O 7.407 -11.870 0.182
O -3.396 -7.127 1.302
O 2.363 -13.975 0.308
O 1.410 -4.034 6.479
O 6.814 -10.695 5.467
O -3.781 -6.104 6.580
O 1.945 -12.904 5.600
O 1.790 -2.452 4.098
O 7.367 -9.127 3.065
O -3.485 -4.753 3.924
O 2.356 -11.497 3.145
O 1.239 -1.524 9.227
O 7.135 -8.102 8.448
O -3.883 -3.774 9.204
O 1.916 -10.520 8.382
O -1.891 -4.568 1.301
O 3.521 -11.339 0.630
O -6.795 -6.720 1.171
O -1.152 -13.547 0.463
O -2.317 -3.542 6.554
O 3.404 -10.444 5.741
O -7.429 -5.566 6.654
O -1.755 -12.429 5.558
```

VASP calculation (PBE+U) on an optimized crystal structure of Sr6Ca2Co7CuO24.

Output
* uncorrected energy: -5.900 eV per atom
* energy relative to the elements: -1.93 eV/atom

extended XYZ file:
```
40
Lattice="5.441 -5.443 0.000 5.441 5.443 0.000 0.000 0.000 7.710" Properties=species:S:1:pos:R:3 pbc="T T T"
Sr 5.441 2.726 5.793
Sr 8.169 0.000 5.792
Sr 8.169 0.000 1.918
Sr 2.714 0.000 5.792
Sr 5.441 -2.726 5.793
Sr 2.714 0.000 1.918
Ca 5.441 2.729 1.914
Ca 5.441 -2.729 1.914
Co 2.721 -2.721 0.009
Co 0.000 0.000 3.846
Co 2.721 -2.721 3.847
Co 2.721 2.721 0.009
Co 5.441 0.000 0.006
Co 2.721 2.721 3.847
Co 5.441 0.000 3.844
Cu 0.000 0.000 0.006
O 4.073 4.047 0.025
O 6.781 1.361 0.024
O 4.077 4.052 3.832
O 6.796 1.366 3.834
O 6.809 -4.047 0.025
O 4.102 -1.361 0.024
O 6.806 -4.052 3.832
O 4.087 -1.366 3.834
O 0.000 0.000 5.748
O 2.721 -2.721 5.761
O 0.000 0.000 1.956
O 2.721 -2.721 1.948
O 2.721 2.721 5.761
O 5.441 0.000 5.824
O 2.721 2.721 1.948
O 5.441 0.000 1.893
O 6.809 4.047 0.025
O 4.073 -4.047 0.025
O 6.806 4.052 3.832
O 4.077 -4.052 3.832
O 4.102 1.361 0.024
O 6.781 -1.361 0.024
O 4.087 1.366 3.834
O 6.796 -1.366 3.834
```

VASP calculation (PBE+U) on an optimized crystal structure of Sr4Ca4Co7CuO24.

Output
* uncorrected energy: -5.909 eV per atom
* energy relative to the elements: -1.92 eV/atom

extended XYZ file:
```
40
Lattice="5.408 5.409 0.000 -5.408 5.409 0.000 0.000 0.023 7.612" Properties=species:S:1:pos:R:3 pbc="T T T"
Sr -2.718 5.426 5.705
Sr 0.000 2.707 5.706
Sr 2.718 5.426 5.705
Sr 0.000 8.137 1.905
Ca -2.737 5.420 1.905
Ca 0.000 2.677 1.905
Ca 0.000 8.160 5.706
Ca 2.737 5.420 1.905
Co 2.703 8.115 0.012
Co 0.000 10.830 3.794
Co 2.704 8.126 3.795
Co -2.703 8.115 0.012
Co 0.000 5.410 0.012
Co -2.704 8.126 3.795
Co 0.000 5.421 3.790
Cu 0.000 0.001 0.002
O -4.030 6.787 0.058
O -1.327 4.082 0.052
O 1.357 1.369 3.755
O -1.384 4.034 3.773
O 4.029 4.033 0.013
O 1.329 6.736 0.013
O 4.049 4.065 3.784
O 1.388 6.805 3.788
O 0.000 10.803 5.667
O 2.679 8.128 5.696
O 0.000 0.033 1.932
O -2.685 2.715 1.914
O -2.679 8.128 5.696
O 0.000 5.439 5.653
O 2.685 2.715 1.914
O 0.000 5.409 1.965
O -4.029 4.033 0.013
O 4.030 6.787 0.058
O -4.049 4.065 3.784
O -1.357 1.369 3.755
O -1.329 6.736 0.013
O 1.327 4.082 0.052
O -1.388 6.805 3.788
O 1.384 4.034 3.773
```

VASP calculation (PBE+U) on an optimized crystal structure of Sr3CaCo3CuO10.

Output
* uncorrected energy: -5.960 eV per atom
* energy relative to the elements: -2.06 eV/atom

extended XYZ file:
```
144
Lattice="0.025 -0.008 10.896 11.113 0.021 0.027 -5.541 15.574 -5.472" Properties=species:S:1:pos:R:3 pbc="T T T"
Sr -2.727 9.524 0.023
Sr 2.825 9.556 0.004
Sr -2.714 9.501 5.473
Sr 2.807 9.562 5.441
Sr 2.742 6.042 -0.021
Sr 0.003 13.885 -2.729
Sr 8.288 6.070 0.038
Sr 2.741 6.053 5.455
Sr 0.017 13.870 2.727
Sr 8.297 6.048 5.508
Sr 5.544 13.882 2.753
Sr 2.711 1.730 0.009
Sr -0.067 9.541 -2.690
Sr 5.514 9.583 -2.704
Sr 0.031 9.521 2.749
Sr 8.246 1.734 5.449
Sr 5.537 9.516 2.735
Sr 0.082 6.011 2.764
Sr -2.705 13.891 -0.009
Sr 5.682 6.012 2.732
Sr 2.815 13.888 -0.015
Sr 0.057 6.019 8.189
Sr -2.655 13.874 5.442
Sr 5.644 6.030 8.197
Ca 0.099 1.645 2.736
Ca 5.672 1.633 2.744
Ca 0.161 1.636 8.204
Ca 5.673 1.659 8.148
Ca 5.447 13.961 -2.677
Ca 8.207 1.678 0.097
Ca 2.689 1.660 5.432
Ca 2.912 13.936 5.558
Co 5.565 15.578 -5.379
Co -2.790 7.868 -2.694
Co 5.583 0.029 0.045
Co 2.768 7.839 -2.720
Co 0.012 0.008 5.494
Co -2.727 7.724 2.752
Co 5.552 0.051 5.493
Co 2.810 7.776 2.745
Co -2.757 15.568 -2.696
Co 0.020 7.846 0.023
Co 8.340 0.077 2.780
Co 5.566 7.890 0.017
Co 2.819 0.109 8.202
Co 0.013 7.885 5.488
Co 8.343 0.026 8.250
Co 5.569 7.886 5.484
Co -0.375 3.800 -0.190
Co 5.257 3.830 -0.173
Co -0.295 3.802 5.292
Co -3.082 11.637 2.584
Co 5.181 3.785 5.274
Co 3.166 3.829 2.580
Co 3.148 3.864 7.973
Co 8.712 3.822 8.079
Cu -3.128 11.768 -2.897
Cu 2.530 11.703 -2.884
Cu 2.554 11.737 2.630
Cu 0.299 11.763 -0.127
Cu 8.715 3.865 2.520
Cu 5.865 11.772 -0.128
Cu 0.340 11.743 5.335
Cu 5.885 11.738 5.329
O -1.450 7.725 -1.369
O -4.223 15.454 -4.077
O 4.129 7.703 -1.411
O 1.460 15.483 -4.096
O -1.336 7.715 4.124
O -4.101 15.540 1.376
O 4.174 7.707 4.026
O 1.405 15.495 1.372
O 4.165 0.174 1.409
O 1.342 7.855 -1.334
O 9.695 0.219 1.454
O 6.912 7.883 -1.308
O 4.161 0.240 6.824
O 1.399 7.863 4.113
O 9.698 0.201 6.975
O 6.943 7.827 4.152
O -1.305 7.715 1.369
O -4.190 15.471 -1.391
O 4.263 7.670 1.303
O 1.361 15.509 -1.376
O -1.417 7.664 6.864
O -4.118 15.445 4.072
O 4.192 7.711 6.774
O 1.525 15.524 4.116
O 4.170 0.271 4.135
O 1.495 7.832 1.397
O 9.757 0.153 4.117
O 7.053 7.901 1.442
O 4.270 0.174 9.523
O 1.390 7.823 6.830
O 9.826 0.192 9.684
O 7.011 7.873 6.906
O 0.262 2.157 0.225
O -2.625 9.980 -2.651
O 5.873 2.152 0.196
O 2.947 9.845 -2.699
O 0.295 2.119 5.596
O -2.543 9.916 2.813
O 5.780 2.080 5.620
O 3.006 9.941 2.769
O 2.624 5.549 2.844
O -0.204 13.573 0.051
O 8.254 5.734 2.817
O 5.330 13.568 0.140
O 2.655 5.634 8.209
O -0.158 13.527 5.497
O 8.163 5.520 8.344
O 5.288 13.515 5.614
O 2.409 2.200 2.874
O -0.179 9.964 0.072
O 8.019 2.130 2.818
O 5.370 9.949 0.056
O 2.411 2.262 8.355
O -0.132 9.941 5.580
O 7.984 2.199 8.391
O 5.387 9.917 5.512
O 0.198 5.512 0.073
O -2.492 13.511 -2.658
O 5.814 5.526 0.065
O 3.090 13.482 -2.679
O 0.226 5.481 5.503
O -2.449 13.277 2.796
O 5.780 5.467 5.550
O 3.026 13.518 2.890
O -0.706 3.722 3.453
O -3.559 11.702 0.795
O 4.932 3.728 3.351
O 1.995 11.739 0.847
O -0.622 3.712 8.804
O -3.479 11.710 6.146
O 4.889 3.739 8.801
O 2.100 11.838 6.201
O 3.529 3.866 0.685
O 0.878 11.713 -1.901
O 8.996 3.784 0.624
O 6.267 11.870 -1.979
O 3.416 3.758 6.052
O 0.816 11.693 3.542
O 9.112 3.852 6.188
O 6.349 11.702 3.461
```

VASP calculation (PBE+U) on an optimized crystal structure of CaEuMnCoO6.

Output
* uncorrected energy: -6.257 eV per atom
* energy relative to the elements: -1.18 eV/atom

extended XYZ file:
```
40
Lattice="9.564 0.000 0.000 0.000 9.564 0.000 0.000 0.000 8.885" Properties=species:S:1:pos:R:3 pbc="T T T"
Ca 4.782 4.782 0.000
Ca 0.000 0.000 4.443
Ca 4.782 0.000 0.000
Ca 0.000 4.782 0.000
Eu 0.000 0.000 0.000
Eu 0.000 4.782 4.443
Eu 4.782 0.000 4.443
Eu 4.782 4.782 4.443
Mn 2.407 7.156 2.234
Mn 2.407 2.407 6.651
Mn 7.156 7.156 6.651
Mn 7.156 2.407 2.234
Co 7.158 2.406 6.663
Co 7.158 7.158 2.222
Co 2.406 2.406 2.222
Co 2.406 7.158 6.663
O 2.366 7.198 0.003
O 2.366 2.366 8.882
O 7.198 7.198 8.882
O 7.198 2.366 0.003
O 2.401 4.789 2.250
O 7.163 4.775 2.250
O 2.401 4.775 6.636
O 7.163 4.789 6.636
O 4.775 7.163 2.250
O 4.789 7.163 6.636
O 4.789 2.401 2.250
O 4.775 2.401 6.636
O 2.412 7.152 4.440
O 2.412 2.412 4.445
O 7.152 7.152 4.445
O 7.152 2.412 4.440
O 2.381 9.553 2.216
O 7.182 0.011 2.216
O 2.381 0.011 6.670
O 7.182 9.553 6.670
O 0.011 7.182 2.216
O 9.553 7.182 6.670
O 9.553 2.381 2.216
O 0.011 2.381 6.670
```

VASP calculation (PBE+U) on an optimized crystal structure of CaEuCo4O12.

Output
* uncorrected energy: -6.027 eV per atom
* energy relative to the elements: -1.29 eV/atom

extended XYZ file:
```
18
Lattice="5.268 0.000 0.000 0.000 5.268 0.000 0.000 0.000 7.450" Properties=species:S:1:pos:R:3 pbc="T T T"
Ca 2.634 2.634 0.000
Eu 0.000 0.000 3.725
Co 0.000 2.634 5.615
Co 0.000 2.634 1.835
Co 2.634 0.000 1.835
Co 2.634 0.000 5.615
O 1.302 1.302 1.885
O 1.302 1.302 5.565
O 3.966 3.966 1.885
O 3.966 3.966 5.565
O 3.966 1.302 5.565
O 3.966 1.302 1.885
O 1.302 3.966 5.565
O 1.302 3.966 1.885
O 0.000 2.634 3.725
O 0.000 2.634 0.000
O 2.634 0.000 3.725
O 2.634 0.000 0.000
```

- Which value of uncorrected energy does entry 6 give?
  -6.027 eV per atom

- Among the records above, which one has the lowest uncorrected energy?
  CaEuMnCoO6